No. 1
# Li2VO2F

Li2VO2F after structural relaxation (PBE+U, the Materials Project database).

The structure in POSCAR format:
```
Li2VO2F
1.0
0.000 2.083 2.083
-6.338 4.215 -2.132
-2.106 -2.124 4.207
Li V F O
4 2 2 4
Direct
0.833 0.833 0.500
0.159 0.160 0.522
0.333 0.333 0.000
0.508 0.507 0.478
0.663 0.668 0.006
0.004 0.998 0.994
0.919 0.418 0.745
0.748 0.249 0.255
0.424 0.919 0.233
0.243 0.747 0.767
0.570 0.084 0.777
0.097 0.583 0.223
```

## Properties
Space group ... No. 12
Relative energy among the computed polymorphs ... 0.258 eV per formula unit
E_form ... -2.6698 eV/atom
Total DFT energy (no corrections) ... -6.20 eV/atom

***

No. 2
# Li2VO2F

Li2VO2F after structural relaxation (PBE+U, the Materials Project database).

The structure in POSCAR format:
```
Li2VO2F
1.0
-0.558 2.446 -1.673
-4.118 -4.054 -4.554
-10.206 1.359 8.105
F Li O V
5 10 10 5
Direct
0.595 0.992 0.187
0.999 0.001 0.998
0.804 0.000 0.611
0.399 0.998 0.803
0.052 0.660 0.132
0.074 0.149 0.143
0.531 0.859 0.058
0.732 0.869 0.461
0.150 0.859 0.287
0.864 0.160 0.730
0.462 0.156 0.926
0.263 0.144 0.525
0.328 0.842 0.661
0.680 0.133 0.356
0.927 0.840 0.860
0.859 0.653 0.738
0.516 0.361 0.068
0.265 0.646 0.539
0.126 0.346 0.264
0.733 0.356 0.469
0.204 0.000 0.404
0.478 0.654 0.935
0.326 0.348 0.672
0.666 0.644 0.329
0.948 0.344 0.868
0.587 0.483 0.207
0.794 0.501 0.603
0.991 0.493 0.994
0.405 0.501 0.800
0.202 0.500 0.403
```

## Properties
Space group ... No. 1
Relative energy among the computed polymorphs ... 0.538 eV per formula unit
E_form ... -2.6232 eV/atom
Total DFT energy (no corrections) ... -6.15 eV/atom

***

No. 3
# Li7VO5F

Li7VO5F after structural relaxation (PBE+U, the Materials Project database).

The structure in POSCAR format:
```
Li7VO5F
1.0
-1.327 2.662 -4.708
-0.954 -5.923 0.036
-7.321 1.823 5.609
Li O F V
14 10 2 2
Direct
0.881 0.734 0.131
0.961 0.397 0.610
0.352 0.140 0.098
0.648 0.860 0.902
0.226 0.124 0.471
0.496 0.547 0.230
0.774 0.876 0.529
0.504 0.453 0.770
0.755 0.350 0.991
0.119 0.266 0.869
0.497 0.012 0.683
0.245 0.650 0.009
0.039 0.603 0.390
0.503 0.988 0.317
0.111 0.326 0.078
0.822 0.979 0.736
0.178 0.021 0.264
0.258 0.590 0.806
0.742 0.410 0.194
0.611 0.881 0.134
0.924 0.207 0.421
0.076 0.793 0.579
0.389 0.119 0.866
0.889 0.674 0.922
0.578 0.316 0.609
0.422 0.684 0.391
0.936 0.182 0.224
0.064 0.818 0.776
```

## Properties
Space group ... No. 2
Relative energy among the computed polymorphs ... 0.258 eV per formula unit
E_form ... -2.3446 eV/atom
Total DFT energy (no corrections) ... -5.45 eV/atom

***

No. 4
# Li2VO2F

Li2VO2F after structural relaxation (PBE+U, the Materials Project database).

The structure in POSCAR format:
```
Li2VO2F
1.0
-0.934 -1.317 -2.461
-3.697 -3.358 3.200
-5.944 2.905 -1.060
O Li F V
4 4 2 2
Direct
0.504 0.235 0.991
0.829 0.431 0.342
0.834 0.902 0.333
0.500 0.764 0.001
0.334 0.178 0.332
0.667 0.833 0.667
0.667 0.333 0.667
0.999 0.489 0.002
0.165 0.079 0.671
0.169 0.588 0.662
0.996 0.005 0.007
0.337 0.662 0.326
```

## Properties
Space group ... No. 12
Relative energy among the computed polymorphs ... 0.273 eV per formula unit
E_form ... -2.6673 eV/atom
Total DFT energy (no corrections) ... -6.20 eV/atom

***

No. 5
# Li2VO2F

Li2VO2F after structural relaxation (PBE+U, the Materials Project database).

The structure in POSCAR format:
```
Li2VO2F
1.0
3.024 0.000 0.000
0.000 8.949 0.000
0.000 3.060 8.570
F Li O V
4 8 8 4
Direct
0.000 0.997 0.343
0.000 0.988 0.011
0.500 0.756 0.252
0.000 0.508 0.488
0.000 0.256 0.621
0.000 0.750 0.085
0.500 0.002 0.137
0.500 0.027 0.836
0.000 0.256 0.880
0.500 0.506 0.341
0.000 0.736 0.417
0.500 0.473 0.672
0.500 0.233 0.399
0.000 0.991 0.663
0.500 0.254 0.096
0.500 0.250 0.750
0.000 0.496 0.157
0.500 0.765 0.588
0.500 0.741 0.908
0.000 0.509 0.841
0.500 0.002 0.521
0.000 0.257 0.245
0.000 0.747 0.752
0.500 0.499 0.997
```

## Properties
Space group ... No. 6
Relative energy among the computed polymorphs ... 0.646 eV per formula unit
E_form ... -2.6052 eV/atom
Total DFT energy (no corrections) ... -6.13 eV/atom

***

No. 6
# LiVOF3

LiVOF3 after structural relaxation (PBE+U, the Materials Project database).

The structure in POSCAR format:
```
LiVOF3
1.0
0.000 4.950 0.000
-1.147 0.000 7.310
7.664 0.000 -0.517
Li V F O
4 4 12 4
Direct
0.253 0.646 0.867
0.247 0.146 0.867
0.748 0.354 0.133
0.753 0.854 0.133
0.264 0.702 0.329
0.736 0.298 0.671
0.764 0.798 0.671
0.236 0.202 0.329
0.072 0.197 0.098
0.950 0.593 0.197
0.928 0.803 0.902
0.450 0.908 0.803
0.572 0.303 0.902
0.594 0.559 0.695
0.906 0.059 0.695
0.406 0.441 0.305
0.050 0.407 0.803
0.094 0.941 0.305
0.550 0.093 0.197
0.428 0.697 0.098
0.534 0.794 0.457
0.034 0.706 0.543
0.466 0.206 0.543
0.966 0.294 0.457
```

## Properties
Space group ... No. 14
Relative energy among the computed polymorphs ... 0.031 eV per formula unit
E_form ... -2.9724 eV/atom
Total DFT energy (no corrections) ... -5.96 eV/atom

***

No. 7
# LiV3O5F

LiV3O5F after structural relaxation (PBE+U, the Materials Project database).

The structure in POSCAR format:
```
LiV3O5F
1.0
-4.394 -2.610 0.246
3.971 -1.214 3.661
-4.188 2.317 1.797
O Li V F
5 1 3 1
Direct
0.516 0.760 0.283
0.071 0.211 0.422
0.427 0.239 0.739
0.751 0.238 0.062
0.271 0.761 0.949
0.860 0.600 0.890
0.366 0.057 0.327
0.639 0.966 0.656
0.173 0.440 0.123
0.927 0.730 0.548
```

## Properties
Space group ... No. 1
Relative energy among the computed polymorphs ... 0.000 eV per formula unit
E_form ... -2.5796 eV/atom
Total DFT energy (no corrections) ... -7.26 eV/atom

***

No. 8
# LiV2OF5

LiV2OF5 after structural relaxation (PBE+U, the Materials Project database).

The structure in POSCAR format:
```
LiV2OF5
1.0
-1.510 3.077 3.919
2.407 -2.637 2.998
16.046 7.312 0.444
F O Li V
20 4 4 8
Direct
0.840 0.746 0.038
0.666 0.614 0.625
0.158 0.195 0.036
0.154 0.388 0.875
0.836 0.860 0.876
0.330 0.261 0.462
0.829 0.528 0.206
0.686 0.939 0.293
0.331 0.822 0.962
0.160 0.746 0.538
0.171 0.528 0.706
0.846 0.388 0.375
0.314 0.939 0.793
0.164 0.860 0.376
0.161 0.055 0.207
0.839 0.055 0.707
0.670 0.261 0.962
0.669 0.822 0.462
0.842 0.195 0.536
0.334 0.614 0.125
0.632 0.144 0.129
0.368 0.144 0.629
0.682 0.472 0.786
0.318 0.472 0.286
0.982 0.371 0.118
0.502 0.611 0.381
0.498 0.611 0.881
0.018 0.371 0.618
0.495 0.965 0.557
0.000 0.047 0.451
0.026 0.697 0.284
0.501 0.283 0.216
0.000 0.047 0.951
0.505 0.965 0.057
0.499 0.283 0.716
0.974 0.697 0.784
```

## Properties
Space group ... No. 7
Relative energy among the computed polymorphs ... 0.267 eV per formula unit
E_form ... -3.0325 eV/atom
Total DFT energy (no corrections) ... -6.17 eV/atom

***

No. 9
# LiVOF2

LiVOF2 after structural relaxation (PBE+U, the Materials Project database).

The structure in POSCAR format:
```
LiVOF2
1.0
5.395 0.000 0.000
-0.002 8.956 0.000
-1.462 -0.013 9.705
F V O Li
16 8 8 8
Direct
0.394 0.751 0.891
0.889 0.912 0.883
0.633 0.588 0.135
0.611 0.755 0.604
0.896 0.247 0.891
0.649 0.091 0.629
0.104 0.247 0.609
0.345 0.408 0.872
0.151 0.907 0.627
0.388 0.084 0.884
0.843 0.590 0.871
0.131 0.414 0.131
0.872 0.084 0.374
0.364 0.912 0.370
0.889 0.749 0.398
0.113 0.595 0.616
0.766 0.737 0.013
0.253 0.763 0.490
0.259 0.401 0.487
0.737 0.574 0.501
0.266 0.261 0.013
0.732 0.244 0.491
0.252 0.904 0.015
0.753 0.095 0.013
0.404 0.250 0.392
0.623 0.913 0.097
0.599 0.420 0.607
0.123 0.085 0.097
0.892 0.416 0.403
0.378 0.591 0.403
0.101 0.752 0.104
0.603 0.248 0.102
0.308 0.590 0.195
0.687 0.916 0.304
0.175 0.587 0.822
0.187 0.095 0.304
0.824 0.916 0.680
0.322 0.092 0.679
0.672 0.408 0.810
0.810 0.408 0.195
```

## Properties
Space group ... No. 1
Relative energy among the computed polymorphs ... 0.225 eV per formula unit
E_form ... -2.9197 eV/atom
Total DFT energy (no corrections) ... -6.21 eV/atom

***

No. 10
# Li2VO2F

Li2VO2F after structural relaxation (PBE+U, the Materials Project database).

The structure in POSCAR format:
```
Li2VO2F
1.0
0.000 2.083 2.083
-8.430 -2.111 2.111
0.006 -6.342 6.342
Li O F V
8 8 4 4
Direct
0.000 0.502 0.820
0.000 0.501 0.171
0.500 0.249 0.746
0.500 0.749 0.246
0.500 0.748 0.597
0.500 0.248 0.097
0.000 0.001 0.671
0.000 0.002 0.320
0.000 0.251 0.261
0.000 0.250 0.572
0.000 0.751 0.761
0.500 0.500 0.345
0.500 0.000 0.845
0.500 0.999 0.156
0.500 0.499 0.656
0.000 0.750 0.072
0.500 0.501 0.997
0.000 0.749 0.419
0.000 0.249 0.919
0.500 0.001 0.497
0.000 0.996 0.006
0.500 0.754 0.911
0.500 0.254 0.411
0.000 0.496 0.506
```

## Properties
Relative energy among the computed polymorphs ... 0.262 eV per formula unit
E_form ... -2.6692 eV/atom
Total DFT energy (no corrections) ... -6.20 eV/atom

***

No. 11
# Li5VO4F

Li5VO4F after structural relaxation (PBE+U, the Materials Project database).

The structure in POSCAR format:
```
Li5VO4F
1.0
0.496 -0.466 5.092
3.807 0.962 3.312
-1.066 5.260 2.236
F Li O V
1 5 4 1
Direct
0.160 0.160 0.649
0.317 0.317 0.855
0.986 0.986 0.478
0.290 0.290 0.304
0.696 0.696 0.657
0.670 0.670 0.111
0.133 0.133 0.148
0.491 0.491 0.985
0.854 0.854 0.811
0.826 0.826 0.314
0.977 0.977 0.015
```

## Properties
Space group ... No. 8
Relative energy among the computed polymorphs ... 0.000 eV per formula unit
E_form ... -2.4556 eV/atom
Largest piezoelectric modulus ... 0.6 C/m²
Total DFT energy (no corrections) ... -5.68 eV/atom

***

No. 12
# Li2VO2F

Li2VO2F after structural relaxation (PBE+U, the Materials Project database).

The structure in POSCAR format:
```
Li2VO2F
1.0
2.956 -6.980 2.208
5.049 -5.083 3.317
-3.360 -1.901 9.596
Li O F V
8 8 4 4
Direct
0.433 0.433 0.628
0.563 0.563 0.885
0.936 0.936 0.850
0.063 0.063 0.647
0.082 0.082 0.129
0.422 0.422 0.120
0.928 0.928 0.365
0.582 0.582 0.383
0.326 0.326 0.012
0.829 0.829 0.255
0.676 0.676 0.995
0.503 0.503 0.751
0.175 0.175 0.246
0.682 0.682 0.492
0.819 0.819 0.758
0.332 0.332 0.503
0.503 0.503 0.250
0.003 0.003 0.491
0.003 0.003 0.010
0.178 0.178 0.740
0.761 0.761 0.611
0.256 0.256 0.882
0.751 0.751 0.128
0.253 0.253 0.372
```

## Properties
Space group ... No. 8
Relative energy among the computed polymorphs ... 0.589 eV per formula unit
E_form ... -2.6147 eV/atom
Total DFT energy (no corrections) ... -6.14 eV/atom

***

No. 13
# LiVOF2

LiVOF2 after structural relaxation (PBE+U, the Materials Project database).

The structure in POSCAR format:
```
LiVOF2
1.0
-3.910 0.511 3.988
-1.050 -4.329 3.467
16.219 7.924 14.950
Li V O F
12 12 12 24
Direct
0.993 0.332 0.875
0.997 0.660 0.124
0.323 0.010 0.627
0.334 0.667 0.875
0.659 0.995 0.876
0.660 0.341 0.626
0.351 0.666 0.373
0.337 0.993 0.124
0.675 0.997 0.374
0.672 0.332 0.124
0.993 0.673 0.625
0.006 0.332 0.374
0.668 0.647 0.244
0.328 0.322 0.762
0.319 0.350 0.515
0.336 0.364 0.262
0.347 0.334 0.015
0.001 0.984 0.737
0.681 0.667 0.997
0.004 0.982 0.235
0.966 0.002 0.988
0.649 0.685 0.500
0.034 0.967 0.488
0.669 0.700 0.739
0.322 0.986 0.535
0.039 0.625 0.714
0.981 0.693 0.034
0.369 0.611 0.465
0.322 0.719 0.284
0.016 0.626 0.216
0.705 0.329 0.033
0.609 0.029 0.965
0.967 0.706 0.534
0.643 0.336 0.215
0.327 0.036 0.715
0.704 0.978 0.784
0.660 0.668 0.131
0.008 0.990 0.146
0.624 0.357 0.713
0.338 0.323 0.103
0.041 0.336 0.960
0.718 0.312 0.540
0.982 0.010 0.645
0.331 0.342 0.603
0.015 0.352 0.461
0.685 0.665 0.377
0.996 0.999 0.897
0.322 0.339 0.851
0.311 0.967 0.038
0.352 0.033 0.210
0.955 0.327 0.789
0.668 0.657 0.886
0.340 0.334 0.352
0.621 0.037 0.460
0.703 0.973 0.289
0.010 0.995 0.399
0.658 0.671 0.638
0.343 0.631 0.960
0.330 0.707 0.789
0.985 0.301 0.290
```

## Properties
Space group ... No. 1
Relative energy among the computed polymorphs ... 0.355 eV per formula unit
E_form ... -2.8937 eV/atom
Total DFT energy (no corrections) ... -6.19 eV/atom